4
Lattice="0.000 3.225 3.225 3.225 0.000 3.225 3.225 3.225 0.000" Properties=species:S:1:pos:R:3 comment="PBE HoZnRh2, relaxed" energy_ev_per_atom=-5.819 formation_enthalpy_0k_ev_per_atom=-0.676 pbc="T T T"
Ho 0.000 0.000 0.000
Zn 3.225 3.225 3.225
Rh 1.613 1.613 1.613
Rh 4.838 4.838 4.838

---

7
Lattice="5.211 -1.850 0.000 5.211 1.850 0.000 -1.691 0.000 6.284" Properties=species:S:1:pos:R:3 comment="PBE NiC2S2N2, relaxed" energy_ev_per_atom=-6.808 formation_enthalpy_0k_ev_per_atom=-0.029 energy_mp2020_ha_per_atom=-0.259 pbc="T T T"
Ni 0.000 0.000 0.000
C 1.116 0.000 5.040
C 7.615 0.000 1.244
S 2.731 0.000 4.748
S 6.000 0.000 1.536
N -0.033 0.000 5.303
N 8.764 0.000 0.981

---

6
Lattice="0.000 3.554 3.554 3.554 0.000 3.554 3.554 3.554 0.000" Properties=species:S:1:pos:R:3 comment="PBE TmNi2, relaxed" energy_ev_per_atom=-5.843 formation_enthalpy_0k_ev_per_atom=-0.497 pbc="T T T"
Tm 0.889 0.889 0.889
Tm 6.220 6.220 6.220
Ni 3.554 1.777 1.777
Ni 1.777 3.554 1.777
Ni 1.777 1.777 3.554
Ni 3.554 3.554 3.554

---

56
Lattice="11.734 0.000 0.000 0.000 7.459 0.000 0.000 0.000 12.004" Properties=species:S:1:pos:R:3 comment="PBE Cr2HgS4, relaxed" energy_ev_per_atom=-5.474 formation_enthalpy_0k_ev_per_atom=-0.596 energy_mp2020_ha_per_atom=-0.212 pbc="T T T"
Cr 1.375 0.994 0.000
Cr 1.512 4.804 7.514
Cr 1.649 6.504 3.615
Cr 1.832 2.790 2.947
Cr 4.035 2.790 8.949
Cr 4.218 6.504 9.618
Cr 4.355 4.804 1.512
Cr 4.492 0.994 6.002
Cr 7.242 6.464 0.000
Cr 7.379 2.654 7.514
Cr 7.517 0.954 3.615
Cr 7.699 4.669 2.947
Cr 9.902 4.669 8.949
Cr 10.085 0.954 9.618
Cr 10.222 2.654 1.512
Cr 10.359 6.464 6.002
Hg 0.987 4.662 11.580
Hg 1.403 0.877 7.596
Hg 4.464 0.877 1.594
Hg 4.880 4.662 5.578
Hg 6.854 2.797 11.580
Hg 7.270 6.582 7.596
Hg 10.331 6.582 1.594
Hg 10.747 2.797 5.578
S 0.143 4.272 2.162
S 0.238 0.503 5.205
S 0.291 1.173 2.142
S 0.480 5.062 5.338
S 2.503 6.519 1.259
S 2.675 4.650 9.603
S 2.726 0.958 9.980
S 2.844 2.858 0.888
S 3.023 2.858 6.890
S 3.141 0.958 3.977
S 3.192 4.650 3.600
S 3.364 6.519 7.261
S 5.388 5.062 11.340
S 5.576 1.173 8.144
S 5.629 0.503 11.207
S 5.724 4.272 8.164
S 6.010 3.187 2.162
S 6.105 6.955 5.205
S 6.158 6.285 2.142
S 6.347 2.397 5.338
S 8.370 0.940 1.259
S 8.542 2.809 9.603
S 8.593 6.501 9.980
S 8.711 4.601 0.888
S 8.890 4.601 6.890
S 9.008 6.501 3.977
S 9.059 2.809 3.600
S 9.231 0.940 7.261
S 11.255 2.397 11.340
S 11.443 6.285 8.144
S 11.496 6.955 11.207
S 11.591 3.187 8.164

---

74
Lattice="18.292 0.000 0.000 -9.146 15.841 0.000 0.000 0.000 3.933" Properties=species:S:1:pos:R:3 comment="PBE Nd8Ni18P11, relaxed" energy_ev_per_atom=-6.377 formation_enthalpy_0k_ev_per_atom=-0.925 pbc="T T T"
Nd 0.000 0.000 0.000
Nd -1.974 3.460 0.000
Nd -7.137 12.402 0.000
Nd -3.946 8.282 1.966
Nd 1.974 3.460 0.000
Nd -5.162 15.821 0.000
Nd 0.000 8.247 1.966
Nd -2.004 11.718 1.966
Nd 6.058 3.498 0.000
Nd 3.947 8.282 1.966
Nd 0.000 15.118 1.966
Nd 2.004 11.718 1.966
Nd 12.234 3.498 0.000
Nd 9.146 8.846 0.000
Nd 7.137 12.402 0.000
Nd 5.163 15.821 0.000
Ni 0.000 2.319 1.966
Ni -7.137 14.681 1.966
Ni -1.994 5.868 1.966
Ni -5.061 11.180 1.966
Ni 0.000 5.838 0.000
Ni -4.090 12.922 0.000
Ni -1.990 9.412 0.000
Ni 3.982 2.299 1.966
Ni 1.994 5.868 1.966
Ni -3.067 14.634 1.966
Ni 7.048 0.482 0.000
Ni 3.942 5.862 0.000
Ni 1.990 9.412 0.000
Ni 0.000 12.859 0.000
Ni 7.933 2.050 1.966
Ni 5.742 5.845 1.966
Ni 7.951 4.590 1.966
Ni 9.146 3.684 0.000
Ni 7.763 6.079 0.000
Ni 11.244 0.482 0.000
Ni 6.040 9.496 0.000
Ni 5.061 11.180 1.966
Ni 3.067 14.634 1.966
Ni 10.359 2.050 1.966
Ni 6.955 7.946 1.966
Ni 4.090 12.922 0.000
Ni 10.341 4.590 1.966
Ni 9.146 6.660 1.966
Ni 10.529 6.079 0.000
Ni 7.137 14.681 1.966
Ni 14.310 2.299 1.966
Ni 9.146 11.243 1.966
Ni 12.550 5.845 1.966
Ni 11.337 7.946 1.966
Ni 14.350 5.862 0.000
Ni 12.252 9.496 0.000
P -1.962 7.125 0.000
P -3.957 10.579 0.000
P 1.982 1.144 1.966
P 0.000 4.608 1.966
P -5.155 13.537 1.966
P 1.962 7.125 0.000
P -1.994 13.978 0.000
P 0.000 10.561 0.000
P 5.909 1.132 1.966
P 3.935 4.551 1.966
P 9.146 1.518 0.000
P 5.888 7.161 0.000
P 3.957 10.579 0.000
P 1.994 13.978 0.000
P 5.155 13.537 1.966
P 12.383 1.132 1.966
P 7.172 10.158 1.966
P 12.404 7.161 0.000
P 16.310 1.144 1.966
P 9.146 13.553 1.966
P 14.357 4.551 1.966
P 11.120 10.158 1.966

---

26
Lattice="7.285 0.000 0.000 0.000 12.556 0.000 -6.894 0.000 8.712" Properties=species:S:1:pos:R:3 comment="PBE Rb2Sb4S7, relaxed" energy_ev_per_atom=-4.190 formation_enthalpy_0k_ev_per_atom=-0.813 energy_mp2020_ha_per_atom=-0.164 pbc="T T T"
Rb -1.372 0.759 3.036
Rb -4.819 5.519 7.392
Rb 5.210 7.037 1.321
Rb 1.763 11.797 5.677
Sb 2.001 1.938 0.534
Sb -1.446 4.340 4.890
Sb -1.555 8.001 5.661
Sb 1.893 10.833 1.305
Sb -1.501 1.723 7.408
Sb 1.946 4.555 3.052
Sb 1.837 8.216 3.822
Sb -1.610 10.618 8.178
S 0.000 0.000 0.000
S -3.447 6.278 4.356
S -3.214 2.920 5.795
S 0.233 3.357 1.439
S -3.311 8.821 7.156
S 0.136 10.012 2.800
S 1.282 6.687 1.918
S -2.165 12.147 6.274
S 2.557 0.409 2.438
S -0.890 5.869 6.794
S 0.255 2.543 5.912
S 3.702 3.735 1.556
S 0.159 9.198 7.273
S 3.606 9.635 2.917

---

Calculated density, record by record: 10.791, 2.397, 10.587, 5.473, 7.435, 3.677 g/cm3